K4P4H6WO14 | PBE with a Hubbard U | relaxed

Calculated values
E above lowest polymorph = 0.8 kJ/mol of atoms
E = -5.870 eV per atom

extended XYZ file:
```
58
Lattice="3.750 11.202 0.000 -3.750 11.202 0.000 0.000 6.957 12.441" Properties=species:S:1:pos:R:3 pbc="T T T"
K 1.989 18.072 11.706
K -1.989 11.289 0.735
K 1.989 14.768 6.955
K -1.989 14.594 5.486
K -1.513 23.538 10.519
K 1.513 5.823 1.922
K -1.513 9.302 8.143
K 1.513 20.060 4.298
P -0.269 22.677 6.803
P 0.269 6.684 5.638
P -0.269 10.163 11.859
P 0.269 19.199 0.582
P -0.987 18.790 9.422
P 0.987 10.571 3.019
P -0.987 14.050 9.240
P 0.987 15.312 3.201
H -2.221 19.821 10.984
H 2.221 9.540 1.457
H -2.221 13.019 7.678
H 2.221 16.343 4.763
H -0.955 21.102 8.222
H 0.955 8.259 4.219
H -0.955 11.738 10.440
H 0.955 17.623 2.001
H -1.875 18.588 7.025
H 1.875 10.773 5.416
H -1.875 14.252 11.637
H 1.875 15.110 0.804
W -0.438 16.420 9.331
W 0.438 12.941 3.110
O 0.119 24.141 7.063
O -0.119 5.220 5.378
O 0.119 8.699 11.598
O -0.119 20.663 0.843
O -0.749 25.301 12.306
O 0.749 4.060 0.135
O -0.749 7.538 6.355
O 0.749 21.823 6.086
O -0.590 22.076 8.257
O 0.590 7.285 4.184
O -0.590 10.764 10.404
O 0.590 18.598 2.037
O 2.080 11.548 6.035
O -2.080 17.813 6.406
O 2.080 14.335 0.186
O -2.080 15.027 12.255
O 0.584 14.365 9.206
O -0.584 14.997 3.235
O 0.584 18.475 9.455
O -0.584 10.886 2.986
O -1.423 19.667 8.222
O 1.423 9.694 4.219
O -1.423 13.173 10.439
O 1.423 16.189 2.002
O -1.222 19.646 10.779
O 1.222 9.715 1.662
O -1.222 13.194 7.882
O 1.222 16.167 4.559
```


K4P4H6WO14 | PBE with a Hubbard U | relaxed

Calculated values
E above lowest polymorph = 0.0 kJ/mol of atoms
E = -5.878 eV per atom

extended XYZ file:
```
58
Lattice="4.514 2.295 -5.282 0.586 -7.145 -7.672 -7.144 6.141 -8.505" Properties=species:S:1:pos:R:3 pbc="T T T"
K 0.471 0.754 -11.875
K -2.514 0.537 -9.583
K 3.549 -4.988 -11.739
K -5.593 6.280 -9.719
K 0.433 3.643 -7.695
K -2.477 -2.351 -13.764
K 0.367 -2.071 -5.166
K -2.410 3.362 -16.292
P 3.222 0.600 -7.079
P -5.265 0.692 -14.380
P -2.026 1.174 -6.245
P -0.018 0.118 -15.213
P 1.482 -1.040 -8.796
P -3.525 2.331 -12.662
P -0.128 -4.550 -11.698
P -1.915 5.841 -9.761
H -0.598 -0.811 -8.049
H -1.446 2.103 -13.410
H -0.795 1.268 -2.246
H -1.248 0.023 -19.213
H -0.914 -2.827 -7.147
H -1.130 4.118 -14.312
H 2.797 -2.494 -13.967
H -4.840 3.785 -7.491
H 1.908 -3.778 -7.441
H -3.952 5.069 -14.017
H -2.497 -2.799 -10.781
H 0.453 4.091 -10.678
W 2.429 -1.904 -12.298
W -4.473 3.195 -9.160
O 3.195 2.081 -6.757
O -5.239 -0.790 -14.702
O -1.733 -0.172 -6.879
O -0.311 1.464 -14.580
O -0.112 -1.112 -14.352
O -1.932 2.404 -7.107
O -6.486 1.254 -13.703
O 4.443 0.038 -7.756
O 1.909 0.345 -8.021
O -3.952 0.946 -13.438
O -0.972 1.296 -5.001
O -1.072 -0.005 -16.458
O 2.879 -0.127 -5.685
O -4.923 1.418 -15.774
O 1.047 3.289 -10.835
O -3.091 -1.997 -10.624
O 1.032 -3.761 -12.268
O -3.075 5.052 -9.191
O 2.017 -0.967 -10.211
O -4.061 2.258 -11.248
O 1.870 -2.201 -7.923
O -3.914 3.492 -13.536
O -1.449 -3.863 -11.481
O -0.595 5.155 -9.977
O -0.092 -0.797 -8.921
O -1.952 2.088 -12.538
O 0.452 -5.298 -10.412
O -2.496 6.590 -11.047
```


K5V9H20PtO37 | PBE with a Hubbard U | relaxed

Calculated values
E = -6.058 eV per atom

extended XYZ file:
```
144
Lattice="-5.033 8.391 3.337 -10.451 -7.601 1.560 8.501 -3.908 10.301" Properties=species:S:1:pos:R:3 pbc="T T T"
K -2.970 5.660 4.745
K -4.013 -8.778 10.454
K -10.953 0.088 3.384
K 3.970 -3.205 11.814
K -5.687 -3.104 11.381
K -1.296 -0.013 3.818
K -8.930 -1.128 9.204
K 1.946 -1.989 5.995
K -5.426 0.330 6.903
K -1.558 -3.447 8.296
V -6.940 5.666 3.875
V -0.044 -8.784 11.324
V -3.677 2.161 10.422
V -3.306 -5.279 4.776
V -2.046 0.735 8.094
V -4.937 -3.853 7.105
V 0.556 0.555 9.889
V -7.539 -3.672 5.310
V 3.106 0.412 11.746
V -10.089 -3.529 3.452
V 1.653 3.261 11.329
V -8.637 -6.379 3.869
V -0.896 3.420 9.452
V -6.087 -6.537 5.746
V -2.269 -0.680 10.953
V -4.714 -2.438 4.246
V 0.358 -0.891 12.774
V -7.341 -2.227 2.425
H 1.560 -6.314 9.737
H -8.543 3.197 5.461
H -4.461 -2.579 1.200
H -2.523 -0.538 13.999
H -4.552 3.644 6.468
H -2.432 -6.761 8.730
H -3.479 3.672 7.576
H -3.505 -6.789 7.622
H -1.126 3.177 6.283
H -5.858 -6.295 8.916
H -10.720 -3.926 6.580
H 3.737 0.809 8.619
H -11.148 0.146 6.524
H 4.165 -3.264 8.674
H -9.961 -0.807 6.141
H 2.978 -2.310 9.057
H -13.888 0.530 4.430
H 6.904 -3.648 10.769
H -5.981 -4.578 13.861
H -1.002 1.460 1.338
H -4.754 -5.877 10.893
H -2.230 2.759 4.306
H -4.110 -5.976 12.332
H -2.873 2.858 2.866
H -8.463 -4.347 9.931
H 1.480 1.229 5.268
H -7.615 -4.031 8.614
H 0.631 0.913 6.585
H -8.427 0.827 5.932
H 1.444 -3.945 9.267
H -7.826 -0.476 5.241
H 0.843 -2.641 9.958
H -4.450 2.355 4.541
H -2.533 -5.473 10.658
H -5.958 2.792 4.670
H -1.025 -5.910 10.529
H -5.440 -1.386 9.263
H -1.543 -1.732 5.935
H -5.692 -0.189 10.231
H -1.291 -2.929 4.968
Pt -1.053 1.925 12.278
Pt -5.931 -5.042 2.921
O 0.778 1.215 11.923
O -7.761 -4.333 3.276
O -1.364 1.373 10.377
O -5.619 -4.491 4.821
O -0.343 3.645 11.436
O -6.640 -6.762 3.762
O -1.525 -0.007 12.751
O -5.459 -3.111 2.447
O 0.890 2.473 9.606
O -7.873 -5.590 5.593
O -0.209 -0.947 10.819
O -6.774 -2.170 4.380
O 2.036 -5.772 9.043
O -9.020 2.654 6.156
O 4.600 -5.973 10.836
O -11.584 2.856 4.363
O -3.612 1.495 8.681
O -3.371 -4.613 6.518
O -0.077 0.240 8.318
O -6.906 -3.357 6.881
O 2.221 0.113 9.926
O -9.205 -3.231 5.273
O -5.385 4.935 3.183
O -1.598 -8.052 12.015
O 1.810 3.328 13.159
O -8.793 -6.445 2.040
O 3.162 2.218 11.145
O -10.145 -5.335 4.053
O -1.298 2.486 7.913
O -5.685 -5.604 7.286
O -2.654 3.659 9.937
O -4.329 -6.777 5.261
O -3.730 0.390 11.080
O -3.253 -3.508 4.118
O -2.345 -0.796 9.113
O -4.638 -2.322 6.085
O -7.709 3.924 4.036
O 0.726 -7.041 11.162
O 2.113 -1.098 12.258
O -9.096 -2.020 2.941
O -1.461 -2.269 2.032
O -5.523 -0.848 13.167
O -0.155 -5.670 7.271
O -6.828 2.553 7.927
O -2.366 0.229 6.565
O -4.618 -3.346 8.634
O 4.612 -0.183 11.514
O -11.595 -2.935 3.685
O -8.311 -2.842 12.421
O 1.328 -0.275 2.777
O -0.465 4.908 8.915
O -6.519 -8.025 6.283
O -2.789 -2.158 11.447
O -4.194 -0.960 3.751
O -8.626 1.558 3.021
O 1.643 -4.675 12.178
O -3.938 4.257 6.944
O -3.046 -7.374 8.254
O -1.177 3.544 5.361
O -5.807 -6.662 9.838
O -10.943 -0.757 6.151
O 3.960 -2.360 9.047
O -5.147 -4.187 14.203
O -1.836 1.069 0.995
O -4.074 -5.458 11.501
O -2.909 2.340 3.697
O -7.860 -3.694 9.498
O 0.877 0.577 5.700
O -8.141 -0.106 6.093
O 1.157 -3.012 9.106
O -5.231 2.361 5.161
O -1.752 -5.479 10.038
O -6.141 -0.790 9.598
O -0.843 -2.328 5.601
```


KVH6SO9 | PBE with a Hubbard U | relaxed

Calculated values
E = -5.683 eV per atom

extended XYZ file:
```
36
Lattice="-3.367 -3.115 8.831 -2.892 -4.820 -2.803 4.298 -5.039 -0.139" Properties=species:S:1:pos:R:3 pbc="T T T"
K -0.579 -2.866 0.486
K -0.731 -9.504 3.693
V 0.899 -6.092 -1.779
V -1.193 -5.340 3.295
H -1.615 -5.894 -0.272
H 0.987 -6.911 4.470
H 0.611 -6.405 0.959
H -2.682 -6.670 5.217
H 1.665 -4.717 2.964
H -4.341 -8.918 4.798
H 0.214 -10.023 0.494
H -0.119 -6.868 5.561
H -2.379 -5.203 5.852
H -1.820 -5.020 -1.540
H 0.306 -7.873 0.328
H -2.864 -3.587 7.197
S 2.940 -4.082 -0.291
S -3.235 -7.350 1.809
O 3.639 -5.092 0.503
O -0.249 -7.679 -2.246
O -0.364 -4.047 4.598
O -1.009 -9.870 6.685
O -2.041 -7.069 2.707
O -2.992 -6.807 0.460
O -4.464 -6.830 2.406
O 0.822 -7.009 0.192
O -1.124 -5.310 -0.902
O -2.239 -4.294 2.576
O 1.539 -4.554 -0.647
O 0.310 -6.833 7.317
O -2.326 -4.403 7.258
O -2.875 -8.305 5.682
O -0.409 -9.286 0.660
O -2.513 -5.713 4.985
O 0.005 -6.884 4.580
O 0.134 -5.389 2.251
```


K4H6W2S2O9 | PBE with a Hubbard U | relaxed

Calculated values
E = -5.483 eV per atom

extended XYZ file:
```
46
Lattice="4.215 5.042 0.000 -4.215 5.042 0.000 0.000 3.066 18.770" Properties=species:S:1:pos:R:3 pbc="T T T"
K -0.112 4.297 13.445
K -0.112 10.386 14.710
K 0.112 8.853 5.325
K 0.112 2.764 4.060
K -2.565 6.093 10.535
K -2.565 8.591 17.621
K 2.565 7.058 8.236
K 2.565 4.559 1.149
H 0.301 10.562 18.038
H 0.301 4.122 10.118
H -0.301 2.588 0.732
H -0.301 9.029 8.653
H 1.600 10.306 17.222
H 1.600 4.378 10.933
H -1.600 2.844 1.548
H -1.600 8.773 7.837
H -1.801 7.534 14.820
H -1.801 7.149 13.335
H 1.801 5.616 3.950
H 1.801 6.001 5.435
W 0.979 7.692 11.647
W 0.979 6.991 16.509
W -0.979 5.458 7.123
W -0.979 6.159 2.262
S -2.741 4.739 2.323
S -2.741 6.878 7.062
S 2.741 8.411 16.447
S 2.741 6.272 11.708
O 1.343 9.119 12.686
O 1.343 5.564 15.470
O -1.343 4.031 6.084
O -1.343 7.586 3.301
O 0.771 8.282 9.949
O 0.771 6.402 18.206
O -0.771 4.868 8.821
O -0.771 6.749 0.564
O -0.525 6.825 12.199
O -0.525 7.858 15.956
O 0.525 6.325 6.571
O 0.525 5.292 2.814
O 0.897 10.984 17.368
O 0.897 3.700 10.787
O -0.897 2.167 1.402
O -0.897 9.450 7.983
O -2.434 7.342 14.078
O 2.434 5.809 4.693
```


KVH2SeO7 | PBE with a Hubbard U | relaxed

Calculated values
E = -5.730 eV per atom

extended XYZ file:
```
48
Lattice="-2.936 -5.408 8.782 6.652 -3.493 0.073 9.120 2.495 4.586" Properties=species:S:1:pos:R:3 pbc="T T T"
K 9.639 -3.517 8.510
K 8.819 0.315 4.049
K 3.197 -2.888 4.931
K 4.018 -6.721 9.393
V 6.655 -5.802 6.385
V 2.557 -0.127 1.963
V 6.182 -0.603 7.056
V 10.279 -6.279 11.478
H 5.923 -3.724 8.036
H 12.133 -0.219 5.724
H 6.913 -2.682 5.405
H 0.703 -6.187 7.717
H 4.478 -4.231 7.610
H 4.293 -2.512 2.060
H 8.359 -2.175 5.831
H 8.543 -3.894 11.382
Se 6.492 -1.949 10.087
Se 11.220 -2.628 4.703
Se 6.344 -4.457 3.354
Se 1.617 -3.778 8.738
O 4.544 -6.633 6.475
O 4.082 -0.376 3.627
O 8.293 0.227 6.966
O 8.754 -6.029 9.814
O 5.854 -4.530 4.992
O 1.279 -5.230 9.578
O 6.983 -1.876 8.449
O 11.558 -1.175 3.863
O 0.498 -3.493 5.263
O 8.932 -2.035 2.434
O 12.338 -2.913 8.178
O 3.904 -4.371 11.007
O 5.429 -4.499 7.711
O 3.365 -2.201 1.889
O 7.408 -1.907 5.730
O 9.471 -4.204 11.552
O 7.044 -3.405 10.631
O 10.105 -2.210 5.844
O 5.793 -3.001 2.810
O 2.731 -4.196 7.597
O 8.015 -4.905 6.699
O 1.509 -0.452 0.719
O 4.822 -1.501 6.742
O 11.328 -5.954 12.722
O 11.448 -5.411 10.054
O 6.067 0.469 5.328
O 1.389 -0.995 3.387
O 6.770 -6.875 8.113
```


Asked for ΔH_f (0 K) across the records above, the calculation gives -185, -186, -178, -166, -162, -162 kJ/mol of atoms in order.